# 1
A relaxed NaHf2Ti2P5SO24 crystal. Source: the Materials Project database, functional GGA-PBE.

a b c (Å): 8.7332 8.7350 22.7256
angles (deg): 89.94 89.93 60.06
Atoms (fractional coordinates):
1 Na 0.0000 0.0000 0.0000
2 Na 0.0028 0.9995 0.4998
3 Na 0.6697 0.6665 0.6654
4 Hf 0.0039 0.9990 0.6451
5 Hf 0.3368 0.3321 0.4750
6 Hf 0.3367 0.3335 0.6886
7 Hf 0.6706 0.6662 0.5192
8 Hf 0.6742 0.6604 0.8125
9 Hf 0.9993 0.9995 0.8527
10 Ti 0.0096 0.0029 0.3539
11 Ti 0.0132 0.9954 0.1441
12 Ti 0.3374 0.3421 0.9788
13 Ti 0.3387 0.3235 0.1838
14 Ti 0.6637 0.6734 0.3135
15 Ti 0.6818 0.6579 0.0247
16 P 0.0035 0.2883 0.7493
17 P 0.0480 0.6219 0.5820
18 P 0.0546 0.3302 0.0821
19 P 0.2913 0.9992 0.2489
20 P 0.2939 0.7105 0.7495
21 P 0.3371 0.0435 0.5821
22 P 0.3393 0.6173 0.0832
23 P 0.3805 0.6701 0.4135
24 P 0.6242 0.0461 0.0816
25 P 0.6263 0.3324 0.5819
26 P 0.6676 0.3802 0.9196
27 P 0.6765 0.9523 0.4132
28 P 0.7129 0.9982 0.7490
29 P 0.9539 0.3793 0.4127
30 P 0.9606 0.6618 0.9194
31 S 0.0045 0.7113 0.2489
32 S 0.3837 0.9575 0.9191
33 S 0.7162 0.2871 0.2488
34 O 0.0274 0.8068 0.5873
35 O 0.0285 0.1672 0.0926
36 O 0.0296 0.1767 0.8047
37 O 0.0337 0.7953 0.3015
38 O 0.1301 0.5104 0.6373
39 O 0.1372 0.3567 0.4206
40 O 0.1391 0.3611 0.1377
41 O 0.1440 0.4975 0.9299
42 O 0.1604 0.5374 0.5265
43 O 0.1630 0.5354 0.2393
44 O 0.1658 0.3081 0.7420
45 O 0.1699 0.0294 0.3028
46 O 0.1696 0.2982 0.0278
47 O 0.1708 0.8049 0.0925
48 O 0.1725 0.0231 0.5874
49 O 0.1807 0.7965 0.8048
50 O 0.1937 0.8357 0.4035
51 O 0.1979 0.9710 0.1944
52 O 0.2049 0.9755 0.9119
53 O 0.2111 0.8255 0.6947
54 O 0.3027 0.5351 0.0283
55 O 0.3091 0.1559 0.5266
56 O 0.3093 0.1639 0.2369
57 O 0.3124 0.5291 0.7420
58 O 0.3608 0.5077 0.4207
59 O 0.3638 0.1341 0.9265
60 O 0.3650 0.5012 0.1378
61 O 0.3661 0.1262 0.6373
62 O 0.4573 0.7070 0.4685
63 O 0.4661 0.8424 0.9704
64 O 0.4735 0.8360 0.2598
65 O 0.4780 0.6926 0.7565
66 O 0.4881 0.8790 0.8644
67 O 0.4987 0.6420 0.0714
68 O 0.4994 0.6436 0.3591
69 O 0.5018 0.8585 0.5759
70 O 0.5039 0.3584 0.9298
71 O 0.5058 0.1352 0.1373
72 O 0.5124 0.1330 0.4207
73 O 0.5146 0.3617 0.6373
74 O 0.5322 0.1618 0.7419
75 O 0.5364 0.1660 0.0281
76 O 0.5390 0.3051 0.2393
77 O 0.5415 0.3048 0.5265
78 O 0.6354 0.4901 0.8634
79 O 0.6425 0.8632 0.0714
80 O 0.6463 0.4975 0.5758
81 O 0.6478 0.8592 0.3591
82 O 0.6934 0.8334 0.7568
83 O 0.6949 0.4740 0.9729
84 O 0.6984 0.4627 0.2576
85 O 0.7111 0.8382 0.4682
86 O 0.7981 0.1733 0.3017
87 O 0.7985 0.0261 0.8043
88 O 0.8099 0.0252 0.0932
89 O 0.8110 0.1682 0.5874
90 O 0.8292 0.9650 0.6946
91 O 0.8303 0.2016 0.1959
92 O 0.8329 0.1953 0.9131
93 O 0.8374 0.4734 0.7557
94 O 0.8381 0.6918 0.9729
95 O 0.8414 0.9724 0.4023
96 O 0.8417 0.4540 0.4684
97 O 0.8461 0.6933 0.2576
98 O 0.8612 0.4967 0.3586
99 O 0.8627 0.6422 0.5759
100 O 0.8686 0.4939 0.0731
101 O 0.8789 0.6341 0.8634
102 O 0.9700 0.2066 0.6946
103 O 0.9736 0.8263 0.1957
104 O 0.9751 0.1913 0.4034
105 O 0.9818 0.8266 0.9133

Computed properties:
E_form = -3.028 eV/atom
E (MP2020) = -8.37 eV/atom
SG = No. 1
Electronic total energy = -7.899 eV/atom


# 2
A relaxed K2CoCl4 crystal. Source: the Materials Project database, functional GGA-PBE.

a b c (Å): 27.2322 12.5403 7.3632
angles (deg): 90.00 90.00 90.00
Atoms (fractional coordinates):
1 K 0.0003 0.1857 0.4250
2 K 0.9997 0.8143 0.9250
3 K 0.0446 0.4214 0.9354
4 K 0.1184 0.9158 0.4532
5 K 0.1672 0.3137 0.5021
6 K 0.1675 0.6830 0.9899
7 K 0.2113 0.0799 0.0000
8 K 0.2887 0.5799 0.5000
9 K 0.3325 0.1830 0.4899
10 K 0.3328 0.8137 0.0021
11 K 0.3816 0.4158 0.9532
12 K 0.4554 0.9214 0.4354
13 K 0.5003 0.3143 0.4250
14 K 0.4997 0.6857 0.9250
15 K 0.5446 0.0786 0.9354
16 K 0.6184 0.5842 0.4532
17 K 0.6672 0.1863 0.5021
18 K 0.6675 0.8170 0.9899
19 K 0.7113 0.4201 0.0000
20 K 0.7887 0.9201 0.5000
21 K 0.8325 0.3170 0.4899
22 K 0.8328 0.6863 0.0021
23 K 0.8816 0.0842 0.9532
24 K 0.9554 0.5786 0.4354
25 Co 0.0730 0.0822 0.9710
26 Co 0.0945 0.5834 0.4419
27 Co 0.2417 0.4153 0.9854
28 Co 0.2583 0.9153 0.4854
29 Co 0.4055 0.0834 0.9419
30 Co 0.4270 0.5822 0.4710
31 Co 0.5730 0.4178 0.9710
32 Co 0.5945 0.9166 0.4419
33 Co 0.7417 0.0847 0.9854
34 Co 0.7583 0.5847 0.4854
35 Co 0.9055 0.4166 0.9419
36 Co 0.9270 0.9178 0.4710
37 Cl 0.0060 0.9433 0.5469
38 Cl 0.0544 0.4271 0.3925
39 Cl 0.0679 0.7033 0.2349
40 Cl 0.0723 0.6436 0.7181
41 Cl 0.0811 0.2039 0.7482
42 Cl 0.1111 0.1393 0.2289
43 Cl 0.1125 0.9296 0.8936
44 Cl 0.1621 0.4339 0.9117
45 Cl 0.1754 0.5612 0.4055
46 Cl 0.2200 0.0698 0.5623
47 Cl 0.2205 0.8631 0.2244
48 Cl 0.2469 0.7908 0.7022
49 Cl 0.2531 0.2908 0.2022
50 Cl 0.2795 0.3631 0.7244
51 Cl 0.2800 0.5698 0.0623
52 Cl 0.3246 0.0612 0.9055
53 Cl 0.3379 0.9339 0.4117
54 Cl 0.3875 0.4296 0.3936
55 Cl 0.3889 0.6393 0.7289
56 Cl 0.4189 0.7039 0.2482
57 Cl 0.4277 0.1436 0.2181
58 Cl 0.4321 0.2033 0.7349
59 Cl 0.4456 0.9271 0.8925
60 Cl 0.4940 0.4433 0.0469
61 Cl 0.5060 0.5567 0.5469
62 Cl 0.5544 0.0729 0.3925
63 Cl 0.5679 0.7967 0.2349
64 Cl 0.5723 0.8564 0.7181
65 Cl 0.5811 0.2961 0.7482
66 Cl 0.6111 0.3607 0.2289
67 Cl 0.6125 0.5704 0.8936
68 Cl 0.6621 0.0661 0.9117
69 Cl 0.6754 0.9388 0.4055
70 Cl 0.7200 0.4302 0.5623
71 Cl 0.7205 0.6369 0.2244
72 Cl 0.7469 0.7092 0.7022
73 Cl 0.7531 0.2092 0.2022
74 Cl 0.7795 0.1369 0.7244
75 Cl 0.7800 0.9302 0.0623
76 Cl 0.8246 0.4388 0.9055
77 Cl 0.8379 0.5661 0.4117
78 Cl 0.8875 0.0704 0.3936
79 Cl 0.8889 0.8607 0.7289
80 Cl 0.9189 0.7961 0.2482
81 Cl 0.9277 0.3564 0.2181
82 Cl 0.9321 0.2967 0.7349
83 Cl 0.9456 0.5729 0.8925
84 Cl 0.9940 0.0567 0.0469

Computed properties:
E_form = -1.756 eV/atom
E (MP2020) = -4.14 eV/atom
SG = No. 33
Electronic total energy = -3.794 eV/atom


# 3
A relaxed Li10Si2PbO10 crystal. Source: the Materials Project database, functional GGA-PBE.

a b c (Å): 15.3414 15.3414 5.1754
angles (deg): 99.49 99.49 22.99
Atoms (fractional coordinates):
1 Li 0.0078 0.0078 0.2597
2 Li 0.0622 0.5481 0.7109
3 Li 0.1492 0.7215 0.2702
4 Li 0.1497 0.5866 0.4663
5 Li 0.1757 0.1757 0.9231
6 Li 0.2306 0.2306 0.6364
7 Li 0.2785 0.8508 0.7298
8 Li 0.3678 0.3678 0.0140
9 Li 0.4134 0.8503 0.5337
10 Li 0.4519 0.9378 0.2891
11 Li 0.5481 0.0622 0.7109
12 Li 0.5866 0.1497 0.4663
13 Li 0.6322 0.6322 0.9860
14 Li 0.7215 0.1492 0.2702
15 Li 0.7694 0.7694 0.3636
16 Li 0.8243 0.8243 0.0769
17 Li 0.8503 0.4134 0.5337
18 Li 0.8508 0.2785 0.7298
19 Li 0.9378 0.4519 0.2891
20 Li 0.9922 0.9922 0.7403
21 Si 0.1005 0.1005 0.1946
22 Si 0.2809 0.2809 0.1907
23 Si 0.7191 0.7191 0.8093
24 Si 0.8995 0.8995 0.8054
25 Pb 0.4614 0.4614 0.7111
26 Pb 0.5386 0.5386 0.2889
27 O 0.0505 0.0505 0.0028
28 O 0.0802 0.5320 0.3287
29 O 0.0886 0.6523 0.8592
30 O 0.0952 0.0952 0.5095
31 O 0.2277 0.2277 0.2362
32 O 0.2482 0.7518 0.5000
33 O 0.2865 0.2865 0.8801
34 O 0.3477 0.9114 0.1408
35 O 0.4079 0.4079 0.3570
36 O 0.4680 0.9198 0.6713
37 O 0.5320 0.0802 0.3287
38 O 0.5921 0.5921 0.6430
39 O 0.6523 0.0886 0.8592
40 O 0.7135 0.7135 0.1199
41 O 0.7518 0.2482 0.5000
42 O 0.7723 0.7723 0.7638
43 O 0.9048 0.9048 0.4905
44 O 0.9114 0.3477 0.1408
45 O 0.9198 0.4680 0.6713
46 O 0.9495 0.9495 0.9972

Computed properties:
E_form = -2.488 eV/atom
E (MP2020) = -6.10 eV/atom
SG = No. 12
Electronic total energy = -5.804 eV/atom


# 4
A relaxed Li6Zn3P4S16 crystal. Source: the Materials Project database, functional GGA-PBE.

a b c (Å): 9.3084 11.5848 23.1371
angles (deg): 89.89 89.91 89.97
Atoms (fractional coordinates):
1 Li 0.0000 0.0000 0.0000
2 Li 0.0001 0.0001 0.2493
3 Li 0.9999 0.7524 0.6265
4 Li 0.0005 0.5004 0.0000
5 Li 0.0020 0.9986 0.7503
6 Li 0.2447 0.5010 0.6255
7 Li 0.2484 0.5067 0.3773
8 Li 0.4879 0.9997 0.5011
9 Li 0.4950 0.5014 0.5006
10 Li 0.4965 0.2467 0.6269
11 Li 0.4980 0.2482 0.3737
12 Li 0.4975 0.7499 0.6276
13 Li 0.5001 0.2503 0.1247
14 Li 0.5013 0.7531 0.3742
15 Li 0.5025 0.7486 0.8761
16 Li 0.5031 0.2483 0.8757
17 Li 0.5027 0.7517 0.1244
18 Li 0.7439 0.2541 0.5050
19 Li 0.7457 0.7469 0.5020
20 Li 0.9937 0.4994 0.5015
21 Li 0.9969 0.2503 0.6272
22 Li 0.9970 0.4999 0.7520
23 Li 0.9979 0.5014 0.2487
24 Li 0.9976 0.7513 0.3746
25 Zn 0.0003 0.2485 0.3747
26 Zn 0.0102 0.9969 0.5016
27 Zn 0.4983 0.4992 0.0000
28 Zn 0.4987 0.9992 0.0000
29 Zn 0.5004 0.9985 0.7492
30 Zn 0.5006 0.9987 0.2516
31 Zn 0.5045 0.4980 0.7514
32 Zn 0.5053 0.5015 0.2487
33 Zn 0.9980 0.2488 0.1246
34 Zn 0.9992 0.2493 0.8752
35 Zn 0.9994 0.7493 0.1251
36 Zn 0.9990 0.7490 0.8749
37 P 0.2467 0.2502 0.2507
38 P 0.2473 0.7533 0.7510
39 P 0.2492 0.2498 0.0005
40 P 0.2493 0.7480 0.5023
41 P 0.2490 0.7499 0.0005
42 P 0.2502 0.2469 0.4979
43 P 0.2530 0.2543 0.7513
44 P 0.2526 0.7451 0.2498
45 P 0.7491 0.0002 0.1256
46 P 0.7486 0.0086 0.6247
47 P 0.7486 0.4935 0.3775
48 P 0.7490 0.5038 0.6251
49 P 0.7490 0.9927 0.3740
50 P 0.7496 0.4997 0.1251
51 P 0.7497 0.4995 0.8759
52 P 0.7496 0.9994 0.8753
53 S 0.1248 0.3568 0.4449
54 S 0.1245 0.6420 0.5535
55 S 0.1256 0.1453 0.5516
56 S 0.1283 0.8546 0.4483
57 S 0.1322 0.6430 0.3040
58 S 0.1334 0.3540 0.1949
59 S 0.1333 0.3569 0.6972
60 S 0.1342 0.3537 0.9450
61 S 0.1343 0.8536 0.9448
62 S 0.1354 0.1487 0.8057
63 S 0.1351 0.6449 0.0564
64 S 0.1363 0.1442 0.3067
65 S 0.1358 0.1447 0.0567
66 S 0.1355 0.8502 0.1952
67 S 0.1371 0.6453 0.8070
68 S 0.1380 0.8555 0.6964
69 S 0.3635 0.1385 0.9484
70 S 0.3631 0.1399 0.6990
71 S 0.3627 0.3540 0.5521
72 S 0.3628 0.3614 0.0529
73 S 0.3634 0.6383 0.9484
74 S 0.3630 0.8588 0.3024
75 S 0.3628 0.8614 0.0528
76 S 0.3665 0.1410 0.1999
77 S 0.3662 0.1446 0.4455
78 S 0.3673 0.3627 0.3022
79 S 0.3666 0.6454 0.4459
80 S 0.3679 0.6380 0.6996
81 S 0.3691 0.8504 0.5534
82 S 0.3701 0.3613 0.8045
83 S 0.3706 0.6382 0.1965
84 S 0.3731 0.8572 0.8027
85 S 0.6250 0.3897 0.4295
86 S 0.6251 0.6076 0.5720
87 S 0.6259 0.1086 0.5703
88 S 0.6257 0.3970 0.6776
89 S 0.6307 0.8949 0.4301
90 S 0.6332 0.1039 0.3221
91 S 0.6325 0.5992 0.3222
92 S 0.6326 0.8974 0.6768
93 S 0.6342 0.1038 0.0697
94 S 0.6343 0.6032 0.0695
95 S 0.6352 0.1029 0.8193
96 S 0.6354 0.3950 0.9319
97 S 0.6350 0.8960 0.1817
98 S 0.6360 0.8950 0.9317
99 S 0.6371 0.6045 0.8200
100 S 0.6377 0.3935 0.1812
101 S 0.8625 0.3874 0.8237
102 S 0.8616 0.6119 0.1775
103 S 0.8634 0.1111 0.9276
104 S 0.8629 0.1120 0.1778
105 S 0.8636 0.6111 0.9280
106 S 0.8639 0.8880 0.8232
107 S 0.8637 0.8888 0.0735
108 S 0.8647 0.3889 0.0730
109 S 0.8656 0.3924 0.5730
110 S 0.8672 0.8961 0.5701
111 S 0.8684 0.1067 0.6773
112 S 0.8684 0.3887 0.3233
113 S 0.8678 0.6039 0.4275
114 S 0.8692 0.1071 0.4292
115 S 0.8694 0.8934 0.3222
116 S 0.8705 0.6044 0.6767

Computed properties:
E_form = -1.002 eV/atom
E (MP2020) = -4.56 eV/atom
SG = No. 1
Electronic total energy = -4.279 eV/atom
Relative energy among the computed polymorphs = 0.10 eV/f.u.


# 5
A relaxed Th7Os3 crystal. Source: the Materials Project database, functional GGA-PBE.

a b c (Å): 10.0339 10.0339 6.3476
angles (deg): 90.00 90.00 120.00
Atoms (fractional coordinates):
1 Th 0.0790 0.5395 0.0000
2 Th 0.1262 0.2525 0.7011
3 Th 0.1262 0.8738 0.7011
4 Th 0.2525 0.1262 0.2011
5 Th 0.3333 0.6667 0.4857
6 Th 0.4605 0.5395 0.0000
7 Th 0.4605 0.9210 0.0000
8 Th 0.5395 0.0790 0.5000
9 Th 0.5395 0.4605 0.5000
10 Th 0.6667 0.3333 0.9857
11 Th 0.7475 0.8738 0.7011
12 Th 0.8738 0.1262 0.2011
13 Th 0.8738 0.7475 0.2011
14 Th 0.9210 0.4605 0.5000
15 Os 0.1874 0.3747 0.2500
16 Os 0.1874 0.8126 0.2500
17 Os 0.3747 0.1874 0.7500
18 Os 0.6253 0.8126 0.2500
19 Os 0.8126 0.1874 0.7500
20 Os 0.8126 0.6253 0.7500

Computed properties:
E_form = -0.335 eV/atom
SG = No. 186
Electronic total energy = -8.893 eV/atom


# 6
A relaxed Tl2SnTe5 crystal. Source: the Materials Project database, functional GGA-PBE.

a b c (Å): 9.7633 9.7633 9.7633
angles (deg): 128.08 128.08 76.50
Atoms (fractional coordinates):
1 Tl 0.0000 0.0000 0.0000
2 Tl 0.2500 0.2500 0.0000
3 Tl 0.5000 0.5000 0.0000
4 Tl 0.7500 0.7500 0.0000
5 Sn 0.2500 0.7500 0.5000
6 Sn 0.7500 0.2500 0.5000
7 Te 0.0000 0.5000 0.5000
8 Te 0.0487 0.5487 0.8674
9 Te 0.1813 0.0487 0.5000
10 Te 0.3187 0.8187 0.8674
11 Te 0.4513 0.3187 0.5000
12 Te 0.5000 0.0000 0.5000
13 Te 0.5487 0.6813 0.5000
14 Te 0.6813 0.1813 0.1326
15 Te 0.8187 0.9513 0.5000
16 Te 0.9513 0.4513 0.1326

Computed properties:
E_form = -0.462 eV/atom
E (MP2020) = -3.52 eV/atom
SG = No. 140
Electronic total energy = -3.254 eV/atom


# 7
A relaxed Mg16Al12I crystal. Source: the Materials Project database, functional GGA-PBE.

a b c (Å): 9.0183 9.0811 9.1339
angles (deg): 108.56 107.78 107.79
Atoms (fractional coordinates):
1 Mg 0.0000 0.0000 0.0000
2 Mg 0.9996 0.3436 0.9996
3 Mg 0.0045 0.3565 0.6506
4 Mg 0.0062 0.7514 0.6893
5 Mg 0.2921 0.9432 0.5971
6 Mg 0.3111 0.0521 0.3108
7 Mg 0.3187 0.6674 0.7172
8 Mg 0.3226 0.6628 0.3221
9 Mg 0.3835 0.3303 0.6688
10 Mg 0.4025 0.0247 0.9960
11 Mg 0.5972 0.9434 0.2913
12 Mg 0.6515 0.3573 0.0047
13 Mg 0.6697 0.3305 0.3844
14 Mg 0.6897 0.7524 0.0068
15 Mg 0.7175 0.6670 0.3184
16 Mg 0.9956 0.0254 0.4025
17 Al 0.0048 0.7131 0.1916
18 Al 0.1570 0.3215 0.3461
19 Al 0.1782 0.1569 0.8084
20 Al 0.1929 0.7144 0.0050
21 Al 0.3449 0.3210 0.1564
22 Al 0.3750 0.5282 0.9955
23 Al 0.6354 0.1852 0.6349
24 Al 0.6400 0.0033 0.8315
25 Al 0.8083 0.1561 0.1780
26 Al 0.8322 0.0052 0.6406
27 Al 0.8403 0.5315 0.8411
28 Al 0.9944 0.5272 0.3748
29 I 0.5851 0.6061 0.5843

Computed properties:
E_form = 0.003 eV/atom
E (MP2020) = -2.48 eV/atom
SG = No. 1
Electronic total energy = -2.469 eV/atom
Relative energy among the computed polymorphs = 0.00 eV/f.u.


In the order shown, the computed ρ values come out to 3.471, 2.210, 3.490, 2.329, 13.171, 6.909, 2.307 g/cm3.